(1)
# PBE+U Li4CrW3O12, optimized geometry
data_Li4CrW3O12
_chemical_formula_sum 'Li4 Cr1 W3 O12'
_symmetry_space_group_name_H-M 'P 1'
_symmetry_Int_Tables_number 1
_cell_length_a 5.1821
_cell_length_b 5.4784
_cell_length_c 7.5087
_cell_angle_alpha 94.15
_cell_angle_beta 90.41
_cell_angle_gamma 90.07
loop_
_symmetry_equiv_pos_as_xyz
'x,y,z'
loop_
_atom_site_label
_atom_site_fract_x
_atom_site_fract_y
_atom_site_fract_z
_atom_site_occupancy
Li1 0.0000 0.0000 0.0000 1
Li2 0.0070 0.0438 0.4435 1
Li3 0.4946 0.4864 0.9967 1
Li4 0.5064 0.4801 0.4671 1
Cr1 0.5032 0.0576 0.1946 1
W1 0.9995 0.5606 0.7025 1
W2 0.0065 0.5608 0.2027 1
W3 0.5033 0.0559 0.6961 1
O1 0.1265 0.5664 0.4485 1
O2 0.1782 0.8681 0.7561 1
O3 0.1960 0.2685 0.1343 1
O4 0.2957 0.7532 0.1326 1
O5 0.3080 0.3833 0.7545 1
O6 0.3892 0.0770 0.4531 1
O7 0.6185 0.0694 0.9376 1
O8 0.6974 0.7397 0.6278 1
O9 0.7012 0.3762 0.2464 1
O10 0.8204 0.2591 0.6259 1
O11 0.8208 0.8653 0.2439 1
O12 0.8759 0.5636 0.9417 1
# **E (MP2020)**: -8.07 eV per atom
# **VASP energy**: -6.90 eV/atom
# **DFT formation energy**: -2.2980 eV per atom
# **Distance to the lowest polymorph of the same formula**: 0.000 eV per atom


(2)
# PBE+U HoZnFe2O6, optimized geometry
data_HoZnFe2O6
_chemical_formula_sum 'Ho2 Zn2 Fe4 O12'
_symmetry_space_group_name_H-M 'P m n 21'
_symmetry_Int_Tables_number 31
_cell_length_a 7.6198
_cell_length_b 5.4468
_cell_length_c 5.2105
_cell_angle_alpha 90.00
_cell_angle_beta 90.00
_cell_angle_gamma 90.00
loop_
_symmetry_equiv_pos_as_xyz
'x,y,z'
'-x+1/2,-y,z+1/2'
'-x,y,z'
'x+1/2,-y,z+1/2'
loop_
_atom_site_label
_atom_site_fract_x
_atom_site_fract_y
_atom_site_fract_z
_atom_site_occupancy
Ho1 0.0000 0.1820 0.0000 1
Zn1 0.0000 0.7121 0.4740 1
Fe1 0.2500 0.2622 0.4840 1
O1 0.0000 0.3007 0.5909 1
O2 0.0000 0.7863 0.8549 1
O3 0.1883 0.4450 0.1783 1
O4 0.1891 0.9386 0.2923 1
# **E (MP2020)**: -7.38 eV per atom
# **VASP energy**: -6.52 eV/atom
# **DFT formation energy**: -2.1320 eV per atom


(3)
# PBE+U MgMn3Cu3O8, optimized geometry
data_MgMn3Cu3O8
_chemical_formula_sum 'Mg3 Mn9 Cu9 O24'
_symmetry_space_group_name_H-M 'R 3 m'
_symmetry_Int_Tables_number 160
_symmetry_space_group_name_Hall 'R 3 -2"'
_cell_length_a 6.1431
_cell_length_b 6.1431
_cell_length_c 20.6609
_cell_angle_alpha 90.00
_cell_angle_beta 90.00
_cell_angle_gamma 120.00
loop_
_atom_site_label
_atom_site_fract_x
_atom_site_fract_y
_atom_site_fract_z
_atom_site_occupancy
Mg1 0.0000 0.0000 0.0000 1
Mn1 0.0012 0.5006 0.5553 1
Cu1 0.0000 0.0000 0.1196 1
Cu2 0.0000 0.0000 0.4833 1
Cu3 0.0000 0.0000 0.6245 1
O1 0.0000 0.0000 0.2624 1
O2 0.0000 0.0000 0.8477 1
O3 0.0128 0.5064 0.8277 1
O4 0.1773 0.3546 0.6164 1
# **E (MP2020)**: -6.82 eV per atom
# **VASP energy**: -6.12 eV/atom
# **DFT formation energy**: -1.4229 eV per atom
# **Distance to the lowest polymorph of the same formula**: 0.196 eV per atom


(4)
# PBE+U VOF, optimized geometry
data_VOF
_chemical_formula_sum 'V6 O6 F6'
_symmetry_space_group_name_H-M 'P m n 21'
_symmetry_Int_Tables_number 31
_cell_length_a 9.3932
_cell_length_b 4.7307
_cell_length_c 4.7170
_cell_angle_alpha 90.00
_cell_angle_beta 90.00
_cell_angle_gamma 90.00
loop_
_symmetry_equiv_pos_as_xyz
'x,y,z'
'-x+1/2,-y,z+1/2'
'-x,y,z'
'x+1/2,-y,z+1/2'
loop_
_atom_site_label
_atom_site_fract_x
_atom_site_fract_y
_atom_site_fract_z
_atom_site_occupancy
V1 0.0000 0.2278 0.0000 1
V2 0.1674 0.7208 0.4325 1
O1 0.0000 0.9244 0.2694 1
O2 0.1683 0.4319 0.1472 1
F1 0.0000 0.5211 0.6544 1
F2 0.1654 0.0438 0.7508 1
# **E (MP2020)**: -8.16 eV per atom
# **VASP energy**: -7.21 eV/atom
# **DFT formation energy**: -2.8422 eV per atom


(5)
# PBE+U Na16W19O57, optimized geometry
data_Na16W19O57
_chemical_formula_sum 'Na32 W38 O114'
_symmetry_space_group_name_H-M 'C 1 2/m 1'
_symmetry_Int_Tables_number 12
_cell_length_a 9.5666
_cell_length_b 5.5230
_cell_length_c 42.9732
_cell_angle_alpha 90.00
_cell_angle_beta 94.29
_cell_angle_gamma 90.00
loop_
_symmetry_equiv_pos_as_xyz
'x,y,z'
'-x,-y,-z'
'-x,y,-z'
'x,-y,z'
'x+1/2,y+1/2,z'
'-x+1/2,-y+1/2,-z'
'-x+1/2,y+1/2,-z'
'x+1/2,-y+1/2,z'
loop_
_atom_site_label
_atom_site_fract_x
_atom_site_fract_y
_atom_site_fract_z
_atom_site_occupancy
Na1 0.0264 0.0000 0.0792 1
Na2 0.0795 0.0000 0.2386 1
Na3 0.1048 0.5000 0.8145 1
Na4 0.1314 0.0000 0.3946 1
Na5 0.1579 0.5000 0.9736 1
Na6 0.1840 0.0000 0.5517 1
Na7 0.2107 0.5000 0.1321 1
Na8 0.2359 0.0000 0.7080 1
W1 0.0000 0.0000 0.0000 1
W2 0.0262 0.5000 0.5787 1
W3 0.0528 0.0000 0.1583 1
W4 0.0783 0.5000 0.7353 1
W5 0.1058 0.0000 0.3172 1
W6 0.1315 0.5000 0.8944 1
W7 0.1581 0.0000 0.4742 1
W8 0.1843 0.5000 0.0528 1
W9 0.2104 0.0000 0.6315 1
W10 0.2371 0.5000 0.2113 1
O1 0.0000 0.0000 0.5000 1
O2 0.0137 0.2477 0.2896 1
O3 0.0265 0.5000 0.0791 1
O4 0.0393 0.2499 0.8682 1
O5 0.0526 0.0000 0.6574 1
O6 0.0664 0.2478 0.4470 1
O7 0.0789 0.5000 0.2374 1
O8 0.0921 0.2501 0.0264 1
O9 0.1053 0.0000 0.8154 1
O10 0.1189 0.2479 0.6045 1
O11 0.1332 0.5000 0.3955 1
O12 0.1450 0.2504 0.1846 1
O13 0.1579 0.0000 0.9737 1
O14 0.1709 0.2504 0.7627 1
O15 0.1858 0.5000 0.5530 1
O16 0.1976 0.2502 0.3425 1
O17 0.2106 0.0000 0.1318 1
O18 0.2235 0.2500 0.9209 1
O19 0.2383 0.5000 0.7104 1
O20 0.2500 0.2500 0.5000 1
# **E (MP2020)**: -8.10 eV per atom
# **VASP energy**: -6.76 eV/atom
# **DFT formation energy**: -2.1256 eV per atom
# **Distance to the lowest polymorph of the same formula**: 0.044 eV per atom


(6)
# PBE+U Cu2W2O7, optimized geometry
data_Cu2W2O7
_chemical_formula_sum 'Cu4 W4 O14'
_symmetry_space_group_name_H-M 'P -1'
_symmetry_Int_Tables_number 2
_cell_length_a 6.2942
_cell_length_b 6.8968
_cell_length_c 7.1535
_cell_angle_alpha 103.01
_cell_angle_beta 90.55
_cell_angle_gamma 101.44
loop_
_symmetry_equiv_pos_as_xyz
'x,y,z'
'-x,-y,-z'
loop_
_atom_site_label
_atom_site_fract_x
_atom_site_fract_y
_atom_site_fract_z
_atom_site_occupancy
Cu1 0.2061 0.2208 0.0788 1
Cu2 0.2168 0.7474 0.7107 1
W1 0.2215 0.2052 0.5612 1
W2 0.2234 0.7770 0.2097 1
O1 0.0908 0.2023 0.8178 1
O2 0.1102 0.8545 0.5035 1
O3 0.1664 0.5081 0.1896 1
O4 0.2711 0.4701 0.5816 1
O5 0.2723 0.1112 0.2948 1
O6 0.2994 0.7959 0.9715 1
O7 0.4874 0.1735 0.6641 1
# **E (MP2020)**: -7.92 eV per atom
# **VASP energy**: -6.67 eV/atom
# **DFT formation energy**: -1.6682 eV per atom